## Na14Hf4Si11Sn4SO48 (GGA-PBE)

Data for an optimized crystal structure of Na14Hf4Si11Sn4SO48.

calculated total energy	-7.036	eV per atom

Cell lengths 9.120, 15.805, 22.740 Å; angles 90.13, 90.01, 90.03 degrees
Space group P1 (No. 1)
Unique sites:
Na: 0.000 0.000 0.000 (multiplicity 1)
Na: 0.000 0.033 0.667 (multiplicity 1)
Na: 0.002 0.695 0.334 (multiplicity 1)
Na: 0.047 0.350 0.668 (multiplicity 1)
Na: 0.049 0.683 0.000 (multiplicity 1)
Na: 0.170 0.852 0.916 (multiplicity 1)
Na: 0.172 0.179 0.251 (multiplicity 1)
Na: 0.180 0.517 0.584 (multiplicity 1)
Na: 0.181 0.517 0.083 (multiplicity 1)
Na: 0.183 0.180 0.752 (multiplicity 1)
Na: 0.192 0.852 0.416 (multiplicity 1)
Na: 0.315 0.684 0.500 (multiplicity 1)
Na: 0.317 0.349 0.165 (multiplicity 1)
Na: 0.359 0.696 0.833 (multiplicity 1)
Na: 0.362 0.033 0.167 (multiplicity 1)
Na: 0.363 0.000 0.500 (multiplicity 1)
Na: 0.363 0.332 0.834 (multiplicity 1)
Na: 0.363 0.365 0.502 (multiplicity 1)
Na: 0.365 0.667 0.167 (multiplicity 1)
Na: 0.496 0.168 0.667 (multiplicity 1)
Na: 0.497 0.500 0.000 (multiplicity 1)
Na: 0.497 0.533 0.667 (multiplicity 1)
Na: 0.497 0.866 0.003 (multiplicity 1)
Na: 0.502 0.196 0.334 (multiplicity 1)
Na: 0.544 0.849 0.665 (multiplicity 1)
Na: 0.545 0.184 0.000 (multiplicity 1)
Na: 0.672 0.679 0.251 (multiplicity 1)
Na: 0.680 0.016 0.583 (multiplicity 1)
Na: 0.681 0.017 0.084 (multiplicity 1)
Na: 0.681 0.350 0.917 (multiplicity 1)
Na: 0.687 0.683 0.749 (multiplicity 1)
Na: 0.692 0.352 0.416 (multiplicity 1)
Na: 0.815 0.184 0.500 (multiplicity 1)
Na: 0.816 0.516 0.833 (multiplicity 1)
Na: 0.816 0.849 0.165 (multiplicity 1)
Na: 0.862 0.533 0.167 (multiplicity 1)
Na: 0.863 0.500 0.500 (multiplicity 1)
Na: 0.863 0.865 0.502 (multiplicity 1)
Na: 0.865 0.167 0.168 (multiplicity 1)
Na: 0.865 0.199 0.834 (multiplicity 1)
Na: 0.998 0.366 0.000 (multiplicity 1)
Na: 0.998 0.666 0.667 (multiplicity 1)
Hf: 0.168 0.851 0.769 (multiplicity 1)
Hf: 0.172 0.177 0.398 (multiplicity 1)
Hf: 0.181 0.184 0.601 (multiplicity 1)
Hf: 0.182 0.179 0.896 (multiplicity 1)
Hf: 0.182 0.183 0.101 (multiplicity 1)
Hf: 0.182 0.850 0.566 (multiplicity 1)
Hf: 0.194 0.851 0.269 (multiplicity 1)
Hf: 0.672 0.677 0.398 (multiplicity 1)
Hf: 0.680 0.350 0.066 (multiplicity 1)
Hf: 0.681 0.350 0.566 (multiplicity 1)
Hf: 0.681 0.350 0.770 (multiplicity 1)
Hf: 0.694 0.352 0.269 (multiplicity 1)
Si: 0.032 0.035 0.501 (multiplicity 1)
Si: 0.033 0.665 0.834 (multiplicity 1)
Si: 0.033 0.706 0.167 (multiplicity 1)
Si: 0.034 0.995 0.168 (multiplicity 1)
Si: 0.036 0.330 0.499 (multiplicity 1)
Si: 0.036 0.371 0.834 (multiplicity 1)
Si: 0.326 0.330 0.999 (multiplicity 1)
Si: 0.328 0.035 0.000 (multiplicity 1)
Si: 0.328 0.663 0.333 (multiplicity 1)
Si: 0.328 0.704 0.669 (multiplicity 1)
Si: 0.329 0.996 0.668 (multiplicity 1)
Si: 0.386 0.351 0.668 (multiplicity 1)
Si: 0.388 0.016 0.334 (multiplicity 1)
Si: 0.389 0.684 0.999 (multiplicity 1)
Si: 0.472 0.184 0.499 (multiplicity 1)
Si: 0.473 0.519 0.834 (multiplicity 1)
Si: 0.477 0.850 0.166 (multiplicity 1)
Si: 0.532 0.536 0.501 (multiplicity 1)
Si: 0.533 0.161 0.833 (multiplicity 1)
Si: 0.533 0.496 0.168 (multiplicity 1)
Si: 0.534 0.205 0.169 (multiplicity 1)
Si: 0.537 0.829 0.499 (multiplicity 1)
Si: 0.826 0.829 0.000 (multiplicity 1)
Si: 0.828 0.163 0.333 (multiplicity 1)
Si: 0.828 0.204 0.667 (multiplicity 1)
Si: 0.828 0.497 0.667 (multiplicity 1)
Si: 0.829 0.536 0.001 (multiplicity 1)
Si: 0.884 0.850 0.666 (multiplicity 1)
Si: 0.888 0.516 0.334 (multiplicity 1)
Si: 0.889 0.184 0.000 (multiplicity 1)
Si: 0.970 0.684 0.499 (multiplicity 1)
Si: 0.973 0.014 0.834 (multiplicity 1)
Si: 0.977 0.350 0.167 (multiplicity 1)
Sn: 0.174 0.520 0.436 (multiplicity 1)
Sn: 0.179 0.522 0.231 (multiplicity 1)
Sn: 0.180 0.517 0.935 (multiplicity 1)
Sn: 0.180 0.518 0.733 (multiplicity 1)
Sn: 0.180 0.850 0.066 (multiplicity 1)
Sn: 0.674 0.020 0.436 (multiplicity 1)
Sn: 0.679 0.021 0.231 (multiplicity 1)
Sn: 0.679 0.683 0.601 (multiplicity 1)
Sn: 0.681 0.683 0.102 (multiplicity 1)
Sn: 0.683 0.021 0.731 (multiplicity 1)
Sn: 0.687 0.020 0.937 (multiplicity 1)
Sn: 0.687 0.681 0.901 (multiplicity 1)
S: 0.327 0.371 0.334 (multiplicity 1)
S: 0.534 0.870 0.834 (multiplicity 1)
S: 0.827 0.870 0.334 (multiplicity 1)
O: 0.005 0.174 0.339 (multiplicity 1)
O: 0.005 0.839 0.005 (multiplicity 1)
O: 0.006 0.194 0.661 (multiplicity 1)
O: 0.007 0.505 0.672 (multiplicity 1)
O: 0.008 0.529 0.996 (multiplicity 1)
O: 0.051 0.604 0.776 (multiplicity 1)
O: 0.051 0.937 0.108 (multiplicity 1)
O: 0.054 0.096 0.558 (multiplicity 1)
O: 0.054 0.431 0.892 (multiplicity 1)
O: 0.058 0.765 0.225 (multiplicity 1)
O: 0.065 0.103 0.839 (multiplicity 1)
O: 0.065 0.267 0.444 (multiplicity 1)
O: 0.075 0.599 0.497 (multiplicity 1)
O: 0.075 0.768 0.506 (multiplicity 1)
O: 0.078 0.266 0.161 (multiplicity 1)
O: 0.078 0.932 0.828 (multiplicity 1)
O: 0.081 0.435 0.175 (multiplicity 1)
O: 0.108 0.089 0.161 (multiplicity 1)
O: 0.109 0.611 0.170 (multiplicity 1)
O: 0.109 0.942 0.506 (multiplicity 1)
O: 0.110 0.277 0.839 (multiplicity 1)
O: 0.112 0.623 0.893 (multiplicity 1)
O: 0.113 0.289 0.558 (multiplicity 1)
O: 0.114 0.080 0.445 (multiplicity 1)
O: 0.114 0.744 0.108 (multiplicity 1)
O: 0.114 0.949 0.222 (multiplicity 1)
O: 0.115 0.411 0.775 (multiplicity 1)
O: 0.116 0.424 0.494 (multiplicity 1)
O: 0.121 0.754 0.828 (multiplicity 1)
O: 0.238 0.753 0.328 (multiplicity 1)
O: 0.247 0.080 0.945 (multiplicity 1)
O: 0.248 0.950 0.723 (multiplicity 1)
O: 0.249 0.425 0.995 (multiplicity 1)
O: 0.249 0.621 0.392 (multiplicity 1)
O: 0.250 0.288 0.058 (multiplicity 1)
O: 0.250 0.610 0.672 (multiplicity 1)
O: 0.250 0.746 0.610 (multiplicity 1)
O: 0.251 0.941 0.006 (multiplicity 1)
O: 0.254 0.090 0.661 (multiplicity 1)
O: 0.261 0.285 0.339 (multiplicity 1)
O: 0.261 0.409 0.280 (multiplicity 1)
O: 0.283 0.933 0.328 (multiplicity 1)
O: 0.285 0.266 0.661 (multiplicity 1)
O: 0.285 0.437 0.672 (multiplicity 1)
O: 0.287 0.598 0.995 (multiplicity 1)
O: 0.287 0.769 0.005 (multiplicity 1)
O: 0.297 0.106 0.339 (multiplicity 1)
O: 0.300 0.269 0.942 (multiplicity 1)
O: 0.302 0.423 0.387 (multiplicity 1)
O: 0.304 0.604 0.274 (multiplicity 1)
O: 0.304 0.764 0.726 (multiplicity 1)
O: 0.305 0.937 0.609 (multiplicity 1)
O: 0.308 0.095 0.059 (multiplicity 1)
O: 0.353 0.503 0.174 (multiplicity 1)
O: 0.354 0.526 0.493 (multiplicity 1)
O: 0.356 0.194 0.162 (multiplicity 1)
O: 0.358 0.176 0.838 (multiplicity 1)
O: 0.358 0.839 0.506 (multiplicity 1)
O: 0.369 0.831 0.221 (multiplicity 1)
O: 0.370 0.166 0.557 (multiplicity 1)
O: 0.370 0.201 0.441 (multiplicity 1)
O: 0.374 0.498 0.893 (multiplicity 1)
O: 0.375 0.538 0.776 (multiplicity 1)
O: 0.375 0.860 0.828 (multiplicity 1)
O: 0.378 0.872 0.107 (multiplicity 1)
O: 0.487 0.998 0.393 (multiplicity 1)
O: 0.488 0.361 0.328 (multiplicity 1)
O: 0.489 0.663 0.058 (multiplicity 1)
O: 0.490 0.035 0.275 (multiplicity 1)
O: 0.490 0.333 0.725 (multiplicity 1)
O: 0.490 0.368 0.610 (multiplicity 1)
O: 0.490 0.705 0.941 (multiplicity 1)
O: 0.505 0.339 0.006 (multiplicity 1)
O: 0.505 0.674 0.339 (multiplicity 1)
O: 0.507 0.695 0.662 (multiplicity 1)
O: 0.508 0.025 0.993 (multiplicity 1)
O: 0.509 0.002 0.674 (multiplicity 1)
O: 0.548 0.596 0.559 (multiplicity 1)
O: 0.556 0.438 0.109 (multiplicity 1)
O: 0.558 0.104 0.774 (multiplicity 1)
O: 0.559 0.265 0.226 (multiplicity 1)
O: 0.561 0.922 0.887 (multiplicity 1)
O: 0.565 0.766 0.445 (multiplicity 1)
O: 0.574 0.606 0.839 (multiplicity 1)
O: 0.575 0.098 0.497 (multiplicity 1)
O: 0.576 0.268 0.506 (multiplicity 1)
O: 0.577 0.434 0.828 (multiplicity 1)
O: 0.577 0.764 0.162 (multiplicity 1)
O: 0.581 0.934 0.174 (multiplicity 1)
O: 0.601 0.784 0.839 (multiplicity 1)
O: 0.601 0.908 0.780 (multiplicity 1)
O: 0.609 0.443 0.506 (multiplicity 1)
O: 0.609 0.591 0.162 (multiplicity 1)
O: 0.611 0.110 0.171 (multiplicity 1)
O: 0.612 0.247 0.110 (multiplicity 1)
O: 0.613 0.255 0.828 (multiplicity 1)
O: 0.614 0.121 0.892 (multiplicity 1)
O: 0.614 0.450 0.223 (multiplicity 1)
O: 0.615 0.580 0.446 (multiplicity 1)
O: 0.615 0.792 0.560 (multiplicity 1)
O: 0.616 0.923 0.494 (multiplicity 1)
O: 0.738 0.253 0.328 (multiplicity 1)
O: 0.746 0.792 0.059 (multiplicity 1)
O: 0.746 0.923 0.994 (multiplicity 1)
O: 0.747 0.574 0.942 (multiplicity 1)
O: 0.749 0.121 0.392 (multiplicity 1)
O: 0.749 0.246 0.610 (multiplicity 1)
O: 0.750 0.454 0.724 (multiplicity 1)
O: 0.750 0.591 0.662 (multiplicity 1)
O: 0.751 0.109 0.670 (multiplicity 1)
O: 0.753 0.443 0.007 (multiplicity 1)
O: 0.761 0.785 0.339 (multiplicity 1)
O: 0.761 0.909 0.280 (multiplicity 1)
O: 0.780 0.934 0.674 (multiplicity 1)
O: 0.782 0.433 0.329 (multiplicity 1)
O: 0.783 0.764 0.662 (multiplicity 1)
O: 0.785 0.098 0.997 (multiplicity 1)
O: 0.785 0.268 0.006 (multiplicity 1)
O: 0.797 0.606 0.339 (multiplicity 1)
O: 0.801 0.263 0.725 (multiplicity 1)
O: 0.802 0.437 0.610 (multiplicity 1)
O: 0.802 0.923 0.387 (multiplicity 1)
O: 0.804 0.104 0.274 (multiplicity 1)
O: 0.805 0.767 0.944 (multiplicity 1)
O: 0.809 0.597 0.059 (multiplicity 1)
O: 0.852 0.669 0.839 (multiplicity 1)
O: 0.853 0.002 0.174 (multiplicity 1)
O: 0.853 0.025 0.493 (multiplicity 1)
O: 0.854 0.696 0.162 (multiplicity 1)
O: 0.857 0.362 0.828 (multiplicity 1)
O: 0.858 0.340 0.506 (multiplicity 1)
O: 0.869 0.332 0.222 (multiplicity 1)
O: 0.869 0.702 0.442 (multiplicity 1)
O: 0.872 0.034 0.775 (multiplicity 1)
O: 0.873 0.663 0.559 (multiplicity 1)
O: 0.873 0.997 0.893 (multiplicity 1)
O: 0.875 0.370 0.109 (multiplicity 1)
O: 0.987 0.499 0.393 (multiplicity 1)
O: 0.987 0.869 0.609 (multiplicity 1)
O: 0.988 0.861 0.328 (multiplicity 1)
O: 0.990 0.535 0.275 (multiplicity 1)
O: 0.991 0.166 0.058 (multiplicity 1)
O: 0.991 0.200 0.942 (multiplicity 1)
O: 0.991 0.831 0.722 (multiplicity 1)

***

## Na4Hf2Ta2Si5SO24 (GGA-PBE)

Data for an optimized crystal structure of Na4Hf2Ta2Si5SO24.

calculated total energy	-7.900	eV per atom

Cell lengths 9.018, 9.027, 22.747 Å; angles 89.75, 89.77, 60.06 degrees
Space group P1 (No. 1)
Unique sites:
Na: 0.000 0.000 0.000 (multiplicity 1)
Na: 0.002 0.330 0.581 (multiplicity 1)
Na: 0.009 0.990 0.498 (multiplicity 1)
Na: 0.021 0.363 0.254 (multiplicity 1)
Na: 0.314 0.666 0.921 (multiplicity 1)
Na: 0.323 0.342 0.831 (multiplicity 1)
Na: 0.346 0.974 0.083 (multiplicity 1)
Na: 0.352 0.330 0.341 (multiplicity 1)
Na: 0.377 0.998 0.747 (multiplicity 1)
Na: 0.652 0.994 0.253 (multiplicity 1)
Na: 0.680 0.649 0.665 (multiplicity 1)
Na: 0.682 0.648 0.169 (multiplicity 1)
Hf: 0.035 0.990 0.855 (multiplicity 1)
Hf: 0.346 0.325 0.980 (multiplicity 1)
Hf: 0.347 0.341 0.684 (multiplicity 1)
Hf: 0.355 0.325 0.481 (multiplicity 1)
Hf: 0.689 0.666 0.311 (multiplicity 1)
Hf: 0.697 0.659 0.810 (multiplicity 1)
Ta: 0.010 0.006 0.354 (multiplicity 1)
Ta: 0.020 0.994 0.145 (multiplicity 1)
Ta: 0.030 0.997 0.643 (multiplicity 1)
Ta: 0.350 0.337 0.187 (multiplicity 1)
Ta: 0.691 0.675 0.024 (multiplicity 1)
Ta: 0.697 0.664 0.520 (multiplicity 1)
Si: 0.020 0.289 0.748 (multiplicity 1)
Si: 0.029 0.708 0.251 (multiplicity 1)
Si: 0.058 0.333 0.085 (multiplicity 1)
Si: 0.067 0.625 0.581 (multiplicity 1)
Si: 0.308 0.996 0.248 (multiplicity 1)
Si: 0.313 0.700 0.751 (multiplicity 1)
Si: 0.355 0.618 0.080 (multiplicity 1)
Si: 0.364 0.034 0.585 (multiplicity 1)
Si: 0.403 0.955 0.915 (multiplicity 1)
Si: 0.644 0.049 0.083 (multiplicity 1)
Si: 0.645 0.330 0.582 (multiplicity 1)
Si: 0.687 0.958 0.413 (multiplicity 1)
Si: 0.729 0.285 0.248 (multiplicity 1)
Si: 0.977 0.665 0.916 (multiplicity 1)
Si: 0.983 0.371 0.414 (multiplicity 1)
S: 0.396 0.668 0.416 (multiplicity 1)
S: 0.689 0.378 0.917 (multiplicity 1)
S: 0.735 0.999 0.750 (multiplicity 1)
O: 0.004 0.191 0.689 (multiplicity 1)
O: 0.033 0.817 0.593 (multiplicity 1)
O: 0.037 0.168 0.805 (multiplicity 1)
O: 0.044 0.160 0.092 (multiplicity 1)
O: 0.051 0.803 0.308 (multiplicity 1)
O: 0.143 0.496 0.637 (multiplicity 1)
O: 0.149 0.359 0.144 (multiplicity 1)
O: 0.169 0.355 0.419 (multiplicity 1)
O: 0.173 0.504 0.920 (multiplicity 1)
O: 0.180 0.028 0.304 (multiplicity 1)
O: 0.183 0.542 0.523 (multiplicity 1)
O: 0.186 0.291 0.029 (multiplicity 1)
O: 0.189 0.015 0.591 (multiplicity 1)
O: 0.192 0.812 0.091 (multiplicity 1)
O: 0.195 0.515 0.244 (multiplicity 1)
O: 0.199 0.831 0.696 (multiplicity 1)
O: 0.201 0.290 0.746 (multiplicity 1)
O: 0.205 0.787 0.812 (multiplicity 1)
O: 0.213 0.967 0.915 (multiplicity 1)
O: 0.218 0.975 0.188 (multiplicity 1)
O: 0.225 0.827 0.411 (multiplicity 1)
O: 0.313 0.168 0.531 (multiplicity 1)
O: 0.321 0.172 0.243 (multiplicity 1)
O: 0.327 0.540 0.020 (multiplicity 1)
O: 0.337 0.512 0.745 (multiplicity 1)
O: 0.377 0.494 0.137 (multiplicity 1)
O: 0.377 0.517 0.419 (multiplicity 1)
O: 0.385 0.142 0.919 (multiplicity 1)
O: 0.393 0.110 0.646 (multiplicity 1)
O: 0.481 0.686 0.469 (multiplicity 1)
O: 0.495 0.703 0.751 (multiplicity 1)
O: 0.498 0.652 0.362 (multiplicity 1)
O: 0.500 0.831 0.974 (multiplicity 1)
O: 0.500 0.834 0.252 (multiplicity 1)
O: 0.509 0.856 0.856 (multiplicity 1)
O: 0.520 0.132 0.141 (multiplicity 1)
O: 0.523 0.645 0.076 (multiplicity 1)
O: 0.523 0.842 0.572 (multiplicity 1)
O: 0.525 0.148 0.420 (multiplicity 1)
O: 0.526 0.362 0.639 (multiplicity 1)
O: 0.531 0.368 0.921 (multiplicity 1)
O: 0.546 0.293 0.241 (multiplicity 1)
O: 0.555 0.163 0.026 (multiplicity 1)
O: 0.560 0.298 0.525 (multiplicity 1)
O: 0.561 0.149 0.747 (multiplicity 1)
O: 0.655 0.859 0.076 (multiplicity 1)
O: 0.667 0.870 0.353 (multiplicity 1)
O: 0.668 0.482 0.864 (multiplicity 1)
O: 0.677 0.495 0.572 (multiplicity 1)
O: 0.702 0.831 0.469 (multiplicity 1)
O: 0.709 0.461 0.971 (multiplicity 1)
O: 0.716 0.470 0.253 (multiplicity 1)
O: 0.716 0.842 0.752 (multiplicity 1)
O: 0.819 0.012 0.803 (multiplicity 1)
O: 0.819 0.162 0.307 (multiplicity 1)
O: 0.835 0.983 0.696 (multiplicity 1)
O: 0.836 0.016 0.091 (multiplicity 1)
O: 0.840 0.206 0.913 (multiplicity 1)
O: 0.841 0.165 0.592 (multiplicity 1)
O: 0.852 0.478 0.751 (multiplicity 1)
O: 0.857 0.186 0.193 (multiplicity 1)
O: 0.858 0.687 0.254 (multiplicity 1)
O: 0.861 0.467 0.472 (multiplicity 1)
O: 0.861 0.674 0.974 (multiplicity 1)
O: 0.868 0.501 0.077 (multiplicity 1)
O: 0.869 0.962 0.410 (multiplicity 1)
O: 0.875 0.642 0.572 (multiplicity 1)
O: 0.884 0.478 0.355 (multiplicity 1)
O: 0.886 0.639 0.859 (multiplicity 1)
O: 0.986 0.842 0.915 (multiplicity 1)
O: 0.999 0.179 0.409 (multiplicity 1)
O: 0.999 0.829 0.194 (multiplicity 1)